(1)
Here is a relaxed structure of Ga2Ru from the Materials Project database. Energies are from PBE.

Lattice parameters (Å, degrees): 4.7825 8.2845 8.7818 90.00 90.00 90.00
Last column: nearest neighbours and their distance in Å.
Space group Fddd (No. 70, origin choice 2)
Unique sites:
Ga1 0.1250 0.2938 0.1250 (multiplicity 16)  5 Ru 2.59-2.77, 5 Ga 2.60-2.80
Ru1 0.1250 0.1250 0.6250 (multiplicity 8)  10 Ga 2.59-2.77

The theoretical density comes out at 9.18 g cm⁻³. The calculation puts the total energy at -5.5236 eV per atom. Its crystal system is orthorhombic. The value obtained for the energy of formation from the pure elements is -0.4134 eV/atom.

---

(2)
Here is a relaxed structure of Ga3Ru from the Materials Project database. Energies are from PBE.

Lattice parameters (Å, degrees): 6.5270 6.5270 6.8065 90.00 90.00 90.00
Last column: nearest neighbours and their distance in Å.
Space group P4_2/mnm (No. 136)
Unique sites:
Ga1 0.0000 0.5000 0.0000 (multiplicity 4)  2 Ru 2.45
Ga2 0.1550 0.1550 0.2354 (multiplicity 8)  3 Ru 2.49-2.60
Ru1 0.1594 0.8406 0.0000 (multiplicity 4)  8 Ga 2.45-2.60

The theoretical density comes out at 7.11 g cm⁻³. The calculation puts the total energy at -4.9768 eV per atom. Its crystal system is tetragonal. The value obtained for the energy of formation from the pure elements is -0.3871 eV/atom.

---

(3)
Here is a relaxed structure of ScGa2Ru from the Materials Project database. Energies are from PBE.

Lattice parameters (Å, degrees): 6.3141 6.3141 6.3141 90.00 90.00 90.00
Last column: nearest neighbours and their distance in Å.
Space group Fm-3m (No. 225)
Unique sites:
Sc1 0.0000 0.0000 0.0000 (multiplicity 4)  8 Ga 2.73
Ga1 0.2500 0.2500 0.2500 (multiplicity 8)  4 Ru 2.73, 4 Sc 2.73
Ru1 0.0000 0.0000 0.5000 (multiplicity 4)  8 Ga 2.73

The theoretical density comes out at 7.53 g cm⁻³. The calculation puts the total energy at -5.9406 eV per atom. Its crystal system is cubic. The value obtained for the energy of formation from the pure elements is -0.5248 eV/atom.